(1)
Density functional theory data (r2SCAN) for a geometry-optimized V2O5 structure.

Its formation energy is -16.84 eV per formula unit. The calculation puts the total energy at -0.786 Ry/atom. The value obtained for the calculated density is 3.746 g cm⁻³.

The space group is P2_1/m (No. 11) and the conventional cell measures 6.2873, 3.5539 and 7.2174 Å, with angles of 90.00, 90.14 and 90.00 degrees. The asymmetric unit holds V at (0.1949, 0.2500, 0.4028), V at (0.2582, 0.7500, 0.7755), O at (0.0374, 0.2500, 0.2052), O at (0.1457, 0.7500, 0.4689), O at (0.2597, 0.2500, 0.6913), O at (0.3201, 0.7500, 0.9882) and O at (0.4409, 0.2500, 0.3262).



(2)
Density functional theory data (r2SCAN) for a geometry-optimized V2O5 structure.

Its formation energy is -16.82 eV per formula unit. The calculation puts the total energy at -0.786 Ry/atom. The value obtained for the calculated density is 3.397 g cm⁻³.

The space group is Pnma (No. 62) and the conventional cell measures 9.9843, 3.5724 and 9.9715 Å, with angles of 90.00, 90.00 and 90.00 degrees. The asymmetric unit holds V at (0.0704, 0.2500, 0.1048), V at (0.1252, 0.7500, 0.5154), O at (0.0039, 0.7500, 0.7534), O at (0.0634, 0.7500, 0.0433), O at (0.0709, 0.2500, 0.5355), O at (0.2098, 0.7500, 0.3801) and O at (0.2441, 0.2500, 0.1398).



(3)
Density functional theory data (r2SCAN) for a geometry-optimized V2O5 structure.

Its formation energy is -16.69 eV per formula unit. The calculation puts the total energy at -0.785 Ry/atom. The value obtained for the calculated density is 2.751 g cm⁻³.

The space group is Pnma (No. 62) and the conventional cell measures 9.4228, 5.8603 and 7.9525 Å, with angles of 90.00, 90.00 and 90.00 degrees. The asymmetric unit holds V at (0.0860, 0.2500, 0.1592), V at (0.1967, 0.7500, 0.3123), O at (0.0628, 0.7500, 0.9400), O at (0.0956, 0.0027, 0.2862), O at (0.1778, 0.2500, 0.6782) and O at (0.2301, 0.2500, 0.0185).